# 1
Gd6Mn23 | PBE | optimized geometry Values from VASP.

Computed properties:
**DFT total energy**: -9.252 eV per atom
**Energy relative to the elements**: 0.9264 eV per atom
**Space group**: No. 225

```
&SYSTEM
  ibrav = 0, nat = 29, ntyp = 2
/
ATOMIC_SPECIES
Gd 157.25 Gd.upf
Mn 54.94 Mn.upf
ATOMIC_POSITIONS crystal
Gd 0.210 0.210 0.790
Gd 0.210 0.790 0.210
Gd 0.210 0.790 0.790
Gd 0.790 0.210 0.210
Gd 0.790 0.210 0.790
Gd 0.790 0.790 0.210
Mn 0.000 0.000 0.500
Mn 0.000 0.500 0.000
Mn 0.000 0.500 0.500
Mn 0.142 0.619 0.619
Mn 0.177 0.177 0.177
Mn 0.177 0.177 0.468
Mn 0.177 0.468 0.177
Mn 0.381 0.381 0.381
Mn 0.381 0.381 0.858
Mn 0.381 0.858 0.381
Mn 0.468 0.177 0.177
Mn 0.500 0.000 0.000
Mn 0.500 0.000 0.500
Mn 0.500 0.500 0.000
Mn 0.500 0.500 0.500
Mn 0.532 0.823 0.823
Mn 0.619 0.142 0.619
Mn 0.619 0.619 0.142
Mn 0.619 0.619 0.619
Mn 0.823 0.532 0.823
Mn 0.823 0.823 0.532
Mn 0.823 0.823 0.823
Mn 0.858 0.381 0.381
CELL_PARAMETERS angstrom
0.000 6.083 6.083
6.083 0.000 6.083
6.083 6.083 0.000
```

# 2
CuH2SO5 | PBE | optimized geometry Values from VASP.

Computed properties:
**DFT total energy**: -5.486 eV per atom
**Energy relative to the elements**: -1.4497 eV per atom
**Space group**: No. 2

```
&SYSTEM
  ibrav = 0, nat = 18, ntyp = 4
/
ATOMIC_SPECIES
Cu 63.55 Cu.upf
H 1.01 H.upf
S 32.06 S.upf
O 16.00 O.upf
ATOMIC_POSITIONS crystal
Cu 0.000 0.000 0.000
Cu 0.500 0.500 0.500
H 0.021 0.508 0.685
H 0.177 0.595 0.222
H 0.823 0.405 0.778
H 0.979 0.492 0.315
S 0.392 0.070 0.755
S 0.608 0.930 0.245
O 0.147 0.453 0.276
O 0.260 0.163 0.907
O 0.287 0.198 0.610
O 0.295 0.842 0.154
O 0.338 0.766 0.673
O 0.662 0.234 0.327
O 0.705 0.158 0.846
O 0.713 0.802 0.390
O 0.740 0.837 0.093
O 0.853 0.547 0.724
CELL_PARAMETERS angstrom
5.057 0.000 0.000
-0.039 5.245 0.000
-2.416 -2.561 6.979
```

# 3
La3Pm | PBE | optimized geometry Values from VASP.

Computed properties:
**DFT total energy**: -4.869 eV per atom
**Energy relative to the elements**: 0.0209 eV per atom
**Space group**: No. 139

```
&SYSTEM
  ibrav = 0, nat = 4, ntyp = 2
/
ATOMIC_SPECIES
La 138.91 La.upf
Pm 145.00 Pm.upf
ATOMIC_POSITIONS crystal
La 0.000 0.000 0.000
La 0.250 0.750 0.500
La 0.750 0.250 0.500
Pm 0.500 0.500 0.000
CELL_PARAMETERS angstrom
-2.633 2.633 5.279
2.633 -2.633 5.279
2.633 2.633 -5.279
```

# 4
NaSi | PBE | optimized geometry Values from VASP.

Computed properties:
**DFT total energy**: -3.360 eV per atom
**Distance to the lowest polymorph of the same formula**: 0.025 eV per atom
**Energy relative to the elements**: 0.0496 eV per atom
**Space group**: No. 15

```
&SYSTEM
  ibrav = 0, nat = 16, ntyp = 2
/
ATOMIC_SPECIES
Na 22.99 Na.upf
Si 28.09 Si.upf
ATOMIC_POSITIONS crystal
Na 0.115 0.651 0.887
Na 0.243 0.415 0.595
Na 0.349 0.885 0.613
Na 0.415 0.243 0.095
Na 0.585 0.757 0.905
Na 0.651 0.115 0.387
Na 0.757 0.585 0.405
Na 0.885 0.349 0.113
Si 0.057 0.153 0.841
Si 0.153 0.057 0.341
Si 0.231 0.635 0.328
Si 0.365 0.769 0.172
Si 0.635 0.231 0.828
Si 0.769 0.365 0.672
Si 0.847 0.943 0.659
Si 0.943 0.847 0.159
CELL_PARAMETERS angstrom
5.392 -3.291 0.000
5.392 3.291 0.000
-3.725 0.000 10.207
```

# 5
Tb2Mn3Si5 | PBE | optimized geometry Values from VASP.

Computed properties:
**DFT total energy**: -7.012 eV per atom
**Energy relative to the elements**: -0.5886 eV per atom
**Space group**: No. 128

```
&SYSTEM
  ibrav = 0, nat = 40, ntyp = 3
/
ATOMIC_SPECIES
Tb 158.93 Tb.upf
Mn 54.94 Mn.upf
Si 28.09 Si.upf
ATOMIC_POSITIONS crystal
Tb 0.075 0.236 0.000
Tb 0.236 0.925 0.000
Tb 0.264 0.425 0.500
Tb 0.425 0.736 0.500
Tb 0.575 0.264 0.500
Tb 0.736 0.575 0.500
Tb 0.764 0.075 0.000
Tb 0.925 0.764 0.000
Mn 0.000 0.500 0.250
Mn 0.000 0.500 0.750
Mn 0.121 0.854 0.500
Mn 0.146 0.121 0.500
Mn 0.354 0.621 0.000
Mn 0.379 0.354 0.000
Mn 0.500 0.000 0.250
Mn 0.500 0.000 0.750
Mn 0.621 0.646 0.000
Mn 0.646 0.379 0.000
Mn 0.854 0.879 0.500
Mn 0.879 0.146 0.500
Si 0.000 0.000 0.262
Si 0.000 0.000 0.738
Si 0.023 0.315 0.500
Si 0.175 0.675 0.250
Si 0.175 0.675 0.750
Si 0.185 0.477 0.000
Si 0.315 0.977 0.500
Si 0.325 0.175 0.250
Si 0.325 0.175 0.750
Si 0.477 0.815 0.000
Si 0.500 0.500 0.238
Si 0.500 0.500 0.762
Si 0.523 0.185 0.000
Si 0.675 0.825 0.250
Si 0.675 0.825 0.750
Si 0.685 0.023 0.500
Si 0.815 0.523 0.000
Si 0.825 0.325 0.250
Si 0.825 0.325 0.750
Si 0.977 0.685 0.500
CELL_PARAMETERS angstrom
10.574 0.000 0.000
0.000 10.574 0.000
0.000 0.000 5.445
```

# 6
Zr5Te4P2 | PBE | optimized geometry Values from VASP.

Computed properties:
**DFT total energy**: -7.106 eV per atom
**Energy relative to the elements**: -1.0938 eV per atom
**Space group**: No. 166

```
&SYSTEM
  ibrav = 0, nat = 11, ntyp = 3
/
ATOMIC_SPECIES
Zr 91.22 Zr.upf
Te 127.60 Te.upf
P 30.97 P.upf
ATOMIC_POSITIONS crystal
Zr 0.000 0.000 0.000
Zr 0.063 0.063 0.063
Zr 0.441 0.441 0.441
Zr 0.559 0.559 0.559
Zr 0.937 0.937 0.937
Te 0.138 0.138 0.138
Te 0.364 0.364 0.364
Te 0.636 0.636 0.636
Te 0.862 0.862 0.862
P 0.248 0.248 0.248
P 0.752 0.752 0.752
CELL_PARAMETERS angstrom
1.914 1.105 21.045
-1.914 1.105 21.045
0.000 -2.210 21.045
```

# 7
Ba2ErRuO6 | PBE | optimized geometry Values from VASP.

Computed properties:
**DFT total energy**: -7.190 eV per atom
**Energy relative to the elements**: -2.8656 eV per atom
**Space group**: No. 225

```
&SYSTEM
  ibrav = 0, nat = 10, ntyp = 4
/
ATOMIC_SPECIES
Ba 137.33 Ba.upf
Er 167.26 Er.upf
Ru 101.07 Ru.upf
O 16.00 O.upf
ATOMIC_POSITIONS crystal
Ba 0.250 0.250 0.250
Ba 0.750 0.750 0.750
Er 0.000 0.000 0.000
Ru 0.500 0.500 0.500
O 0.264 0.264 0.736
O 0.264 0.736 0.264
O 0.264 0.736 0.736
O 0.736 0.264 0.264
O 0.736 0.264 0.736
O 0.736 0.736 0.264
CELL_PARAMETERS angstrom
0.000 4.205 4.205
4.205 0.000 4.205
4.205 4.205 0.000
```

# 8
SrO | PBE | optimized geometry Values from VASP.

Computed properties:
**DFT total energy**: -6.001 eV per atom
**Energy relative to the elements**: -3.0262 eV per atom
**Space group**: No. 194

```
&SYSTEM
  ibrav = 0, nat = 4, ntyp = 2
/
ATOMIC_SPECIES
Sr 87.62 Sr.upf
O 16.00 O.upf
ATOMIC_POSITIONS crystal
Sr 0.333 0.667 0.250
Sr 0.667 0.333 0.750
O 0.333 0.667 0.750
O 0.667 0.333 0.250
CELL_PARAMETERS angstrom
4.308 0.000 0.000
-2.154 3.730 0.000
0.000 0.000 5.205
```

# 9
USb2Pd | PBE | optimized geometry Values from VASP.

Computed properties:
**DFT total energy**: -6.623 eV per atom
**Energy relative to the elements**: -0.4407 eV per atom
**Space group**: No. 129

```
&SYSTEM
  ibrav = 0, nat = 8, ntyp = 3
/
ATOMIC_SPECIES
U 238.03 U.upf
Sb 121.76 Sb.upf
Pd 106.42 Pd.upf
ATOMIC_POSITIONS crystal
U 0.250 0.250 0.248
U 0.750 0.750 0.752
Sb 0.250 0.250 0.822
Sb 0.250 0.750 0.500
Sb 0.750 0.250 0.500
Sb 0.750 0.750 0.178
Pd 0.250 0.750 0.000
Pd 0.750 0.250 0.000
CELL_PARAMETERS angstrom
4.364 0.000 0.000
0.000 4.364 0.000
0.000 0.000 9.655
```

# 10
ScAl3C3 | PBE | optimized geometry Values from VASP.

Computed properties:
**DFT total energy**: -6.811 eV per atom
**Energy relative to the elements**: -0.3461 eV per atom
**Space group**: No. 194

```
&SYSTEM
  ibrav = 0, nat = 14, ntyp = 3
/
ATOMIC_SPECIES
Sc 44.96 Sc.upf
Al 26.98 Al.upf
C 12.01 C.upf
ATOMIC_POSITIONS crystal
Sc 0.000 0.000 0.000
Sc 0.000 0.000 0.500
Al 0.333 0.667 0.129
Al 0.333 0.667 0.371
Al 0.333 0.667 0.750
Al 0.667 0.333 0.250
Al 0.667 0.333 0.629
Al 0.667 0.333 0.871
C 0.333 0.667 0.250
C 0.333 0.667 0.587
C 0.333 0.667 0.913
C 0.667 0.333 0.087
C 0.667 0.333 0.413
C 0.667 0.333 0.750
CELL_PARAMETERS angstrom
3.362 0.000 0.000
-1.681 2.911 0.000
0.000 0.000 16.790
```

# 11
Nb3Ni | PBE | optimized geometry Values from VASP.

Computed properties:
**DFT total energy**: -8.920 eV per atom
**Energy relative to the elements**: 0.1015 eV per atom
**Space group**: No. 139

```
&SYSTEM
  ibrav = 0, nat = 4, ntyp = 2
/
ATOMIC_SPECIES
Nb 92.91 Nb.upf
Ni 58.69 Ni.upf
ATOMIC_POSITIONS crystal
Nb 0.000 0.000 0.000
Nb 0.250 0.750 0.500
Nb 0.750 0.250 0.500
Ni 0.500 0.500 0.000
CELL_PARAMETERS angstrom
-1.984 1.984 4.222
1.984 -1.984 4.222
1.984 1.984 -4.222
```

# 12
MgIn4Ge4O14 | PBE | optimized geometry Values from VASP.

Computed properties:
**DFT total energy**: -5.792 eV per atom
**Energy relative to the elements**: -1.8464 eV per atom
**Space group**: No. 44

```
&SYSTEM
  ibrav = 0, nat = 23, ntyp = 4
/
ATOMIC_SPECIES
Mg 24.30 Mg.upf
In 114.82 In.upf
Ge 72.64 Ge.upf
O 16.00 O.upf
ATOMIC_POSITIONS crystal
Mg 0.000 0.000 0.000
In 0.373 0.623 0.750
In 0.374 0.124 0.751
In 0.374 0.623 0.249
In 0.873 0.623 0.250
Ge 0.410 0.136 0.274
Ge 0.862 0.135 0.273
Ge 0.862 0.136 0.726
Ge 0.862 0.589 0.727
O 0.197 0.197 0.396
O 0.197 0.801 0.999
O 0.198 0.198 0.000
O 0.248 0.748 0.500
O 0.499 0.499 0.000
O 0.551 0.050 0.104
O 0.551 0.051 0.500
O 0.551 0.447 0.501
O 0.802 0.197 0.001
O 0.802 0.801 0.604
O 0.802 0.802 0.000
O 0.946 0.050 0.499
O 0.946 0.447 0.896
O 0.947 0.447 0.500
CELL_PARAMETERS angstrom
-3.622 3.631 5.128
3.622 -3.631 5.128
3.622 3.631 -5.128
```

# 13
SrLaAl3O7 | PBE | optimized geometry Values from VASP.

Computed properties:
**DFT total energy**: -7.555 eV per atom
**Energy relative to the elements**: -3.5814 eV per atom
**Space group**: No. 35

```
&SYSTEM
  ibrav = 0, nat = 24, ntyp = 4
/
ATOMIC_SPECIES
Sr 87.62 Sr.upf
La 138.91 La.upf
Al 26.98 Al.upf
O 16.00 O.upf
ATOMIC_POSITIONS crystal
Sr 0.162 0.162 0.000
Sr 0.838 0.838 0.000
La 0.336 0.664 0.980
La 0.664 0.336 0.980
Al 0.000 0.500 0.490
Al 0.143 0.857 0.528
Al 0.358 0.358 0.451
Al 0.500 0.000 0.490
Al 0.642 0.642 0.451
Al 0.857 0.143 0.528
O 0.000 0.000 0.656
O 0.090 0.662 0.681
O 0.151 0.849 0.198
O 0.166 0.418 0.303
O 0.338 0.910 0.681
O 0.368 0.368 0.783
O 0.418 0.166 0.303
O 0.500 0.500 0.302
O 0.582 0.834 0.303
O 0.632 0.632 0.783
O 0.662 0.090 0.681
O 0.834 0.582 0.303
O 0.849 0.151 0.198
O 0.910 0.338 0.681
CELL_PARAMETERS angstrom
5.618 -5.634 0.000
5.618 5.634 0.000
0.000 0.000 5.288
```

# 14
BaSrZr2O6 | PBE | optimized geometry Values from VASP.

Computed properties:
**DFT total energy**: -8.250 eV per atom
**Energy relative to the elements**: -3.6229 eV per atom
**Space group**: No. 65

```
&SYSTEM
  ibrav = 0, nat = 10, ntyp = 4
/
ATOMIC_SPECIES
Ba 137.33 Ba.upf
Sr 87.62 Sr.upf
Zr 91.22 Zr.upf
O 16.00 O.upf
ATOMIC_POSITIONS crystal
Ba 0.000 0.000 0.000
Sr 0.500 0.500 0.000
Zr 0.000 0.500 0.500
Zr 0.500 0.000 0.500
O 0.000 0.500 0.000
O 0.241 0.759 0.500
O 0.266 0.266 0.500
O 0.500 0.000 0.000
O 0.734 0.734 0.500
O 0.759 0.241 0.500
CELL_PARAMETERS angstrom
4.217 -4.233 0.000
4.217 4.233 0.000
0.000 0.000 4.228
```

# 15
Zn2FeS3 | PBE | optimized geometry Values from VASP.

Computed properties:
**DFT total energy**: -4.473 eV per atom
**Distance to the lowest polymorph of the same formula**: 0.000 eV per atom
**Energy relative to the elements**: -0.8248 eV per atom
**Space group**: No. 146

```
&SYSTEM
  ibrav = 0, nat = 12, ntyp = 3
/
ATOMIC_SPECIES
Zn 65.41 Zn.upf
Fe 55.84 Fe.upf
S 32.06 S.upf
ATOMIC_POSITIONS crystal
Zn 0.000 0.000 0.000
Zn 0.166 0.834 0.501
Zn 0.501 0.166 0.834
Zn 0.834 0.501 0.166
Fe 0.334 0.334 0.334
Fe 0.667 0.667 0.667
S 0.125 0.125 0.125
S 0.295 0.959 0.623
S 0.457 0.457 0.457
S 0.623 0.295 0.959
S 0.790 0.790 0.790
S 0.959 0.623 0.295
CELL_PARAMETERS angstrom
3.317 1.915 6.306
-3.317 1.915 6.306
0.000 -3.831 6.306
```

# 16
Pr4CoS7 | PBE | optimized geometry Values from VASP.

Computed properties:
**DFT total energy**: -6.198 eV per atom
**Energy relative to the elements**: -1.8920 eV per atom
**Space group**: No. 173

```
&SYSTEM
  ibrav = 0, nat = 24, ntyp = 3
/
ATOMIC_SPECIES
Pr 140.91 Pr.upf
Co 58.93 Co.upf
S 32.06 S.upf
ATOMIC_POSITIONS crystal
Pr 0.154 0.373 0.000
Pr 0.219 0.846 0.000
Pr 0.333 0.667 0.457
Pr 0.373 0.219 0.500
Pr 0.627 0.781 0.000
Pr 0.667 0.333 0.957
Pr 0.781 0.154 0.500
Pr 0.846 0.627 0.500
Co 0.000 0.000 0.310
Co 0.000 0.000 0.810
S 0.070 0.562 0.244
S 0.098 0.227 0.605
S 0.128 0.902 0.605
S 0.227 0.128 0.105
S 0.333 0.667 0.846
S 0.438 0.508 0.244
S 0.492 0.930 0.244
S 0.508 0.070 0.744
S 0.562 0.492 0.744
S 0.667 0.333 0.346
S 0.773 0.872 0.605
S 0.872 0.098 0.105
S 0.902 0.773 0.105
S 0.930 0.438 0.744
CELL_PARAMETERS angstrom
9.937 0.000 0.000
-4.969 8.606 0.000
0.000 0.000 6.858
```

# 17
LiMg14BO16 | PBE | optimized geometry Values from VASP.

Computed properties:
**DFT total energy**: -5.946 eV per atom
**Distance to the lowest polymorph of the same formula**: 0.041 eV per atom
**Energy relative to the elements**: -2.8465 eV per atom
**Space group**: No. 123

```
&SYSTEM
  ibrav = 0, nat = 32, ntyp = 4
/
ATOMIC_SPECIES
Li 6.94 Li.upf
Mg 24.30 Mg.upf
B 10.81 B.upf
O 16.00 O.upf
ATOMIC_POSITIONS crystal
Li 0.000 0.000 0.000
Mg 0.000 0.244 0.500
Mg 0.000 0.500 0.000
Mg 0.000 0.756 0.500
Mg 0.244 0.000 0.500
Mg 0.248 0.248 0.000
Mg 0.248 0.752 0.000
Mg 0.258 0.500 0.500
Mg 0.500 0.000 0.000
Mg 0.500 0.258 0.500
Mg 0.500 0.742 0.500
Mg 0.742 0.500 0.500
Mg 0.752 0.248 0.000
Mg 0.752 0.752 0.000
Mg 0.756 0.000 0.500
B 0.500 0.500 0.000
O 0.000 0.000 0.500
O 0.000 0.263 0.000
O 0.000 0.500 0.500
O 0.000 0.737 0.000
O 0.251 0.251 0.500
O 0.251 0.749 0.500
O 0.263 0.000 0.000
O 0.292 0.500 0.000
O 0.500 0.000 0.500
O 0.500 0.292 0.000
O 0.500 0.500 0.500
O 0.500 0.708 0.000
O 0.708 0.500 0.000
O 0.737 0.000 0.000
O 0.749 0.251 0.500
O 0.749 0.749 0.500
CELL_PARAMETERS angstrom
8.396 0.000 0.000
0.000 8.396 0.000
0.000 0.000 4.250
```